Entry from Materials Project: an optimized crystal structure of Na5Mn3S4O16F4 (PBE with a Hubbard U).

Cell: 9.106 9.368 9.757 Å, 89.56 88.51 98.44°
Atoms (fractional coordinates):
S 0.281 0.047 0.299
F 0.081 0.899 0.641
O 0.389 0.106 0.404
Na 0.000 0.750 0.250
F 0.919 0.101 0.359
O 0.663 0.882 0.282
F 0.878 0.790 0.453
F 0.122 0.710 0.047
O 0.600 0.812 0.047
Na 0.018 0.851 0.887
Mn 0.643 0.216 0.944
O 0.389 0.606 0.904
S 0.702 0.411 0.634
O 0.400 0.188 0.953
O 0.783 0.338 0.270
F 0.081 0.399 0.141
O 0.154 0.446 0.874
O 0.846 0.055 0.626
O 0.217 0.662 0.730
S 0.281 0.547 0.799
O 0.859 0.892 0.102
Na 0.339 0.377 0.117
O 0.663 0.382 0.782
O 0.650 0.546 0.296
S 0.719 0.453 0.201
Na 0.982 0.149 0.113
O 0.141 0.108 0.898
Mn 0.000 0.000 0.500
Na 0.982 0.649 0.613
O 0.600 0.312 0.547
F 0.919 0.601 0.859
F 0.878 0.290 0.953
S 0.298 0.589 0.366
S 0.298 0.089 0.866
Mn 0.000 0.500 0.000
O 0.350 0.954 0.204
O 0.650 0.046 0.796
O 0.154 0.945 0.374
Na 0.661 0.623 0.883
O 0.846 0.555 0.126
O 0.611 0.894 0.596
Na 0.339 0.877 0.617
O 0.315 0.935 0.893
O 0.350 0.454 0.704
O 0.783 0.838 0.770
O 0.217 0.162 0.230
O 0.859 0.392 0.602
Mn 0.643 0.716 0.444
Na 0.018 0.351 0.387
Na 0.000 0.250 0.750
O 0.315 0.435 0.393
Na 0.661 0.123 0.383
Mn 0.357 0.784 0.056
O 0.685 0.065 0.107
S 0.702 0.911 0.134
O 0.141 0.608 0.398
Mn 0.357 0.284 0.556
O 0.400 0.688 0.453
O 0.337 0.118 0.718
O 0.611 0.394 0.096
F 0.122 0.210 0.547
S 0.719 0.953 0.701
O 0.337 0.618 0.218
O 0.685 0.565 0.607

Values from the calculation:
The magnetic moment is 0.00 μB/atom.

Entry from Materials Project: an optimized crystal structure of Mn5Fe3O16 (PBE with a Hubbard U).

Cell: 5.862 5.844 8.900 Å, 90.01 89.46 119.88°
Atoms (fractional coordinates):
O 0.046 0.523 0.348
O 0.525 0.482 0.841
O 0.165 0.335 0.600
O 0.341 0.671 0.099
Mn 0.665 0.332 0.987
O 0.670 0.835 0.601
O 0.991 0.995 0.315
O 0.957 0.479 0.839
Mn 0.661 0.830 0.211
Fe 0.163 0.832 0.208
O 0.165 0.831 0.600
O 0.675 0.337 0.601
Mn 0.832 0.168 0.711
Mn 0.336 0.668 0.487
O 0.485 0.956 0.344
O 0.827 0.164 0.099
O 0.993 0.997 0.816
O 0.485 0.528 0.344
O 0.827 0.663 0.099
O 0.341 0.171 0.101
Fe 0.330 0.165 0.707
O 0.525 0.043 0.841
Mn 0.832 0.665 0.711
Fe 0.163 0.331 0.208

Values from the calculation:
The magnetic moment is 1.12 μB/atom. The space-group type is Cm, No. 8.

Entry from Materials Project: an optimized crystal structure of K4Fe2O5 (PBE with a Hubbard U).

Cell: 6.032 6.523 10.156 Å, 76.34 90.00 90.00°
Atoms (fractional coordinates):
O 0.734 0.139 0.401
Fe 0.386 0.593 0.655
K 0.410 0.903 0.338
K 0.910 0.097 0.162
K 0.121 0.267 0.483
Fe 0.614 0.407 0.345
Fe 0.886 0.407 0.845
O 0.146 0.397 0.730
K 0.879 0.733 0.517
Fe 0.114 0.593 0.155
O 0.266 0.861 0.599
K 0.090 0.903 0.838
K 0.621 0.733 0.017
O 0.000 0.500 0.000
O 0.646 0.603 0.770
O 0.854 0.603 0.270
K 0.379 0.267 0.983
O 0.354 0.397 0.230
K 0.590 0.097 0.662
O 0.766 0.139 0.901
O 0.234 0.861 0.099
O 0.500 0.500 0.500

Values from the calculation:
The space-group type is P2_1/c, No. 14.

Entry from Materials Project: an optimized crystal structure of LiTiV2O6 (PBE with a Hubbard U).

Cell: 2.979 6.577 6.000 Å, 101.84 89.14 103.17°
Atoms (fractional coordinates):
O 0.510 0.997 0.232
O 0.162 0.295 0.100
O 0.840 0.668 0.433
O 0.488 0.990 0.797
V 0.678 0.333 0.335
O 0.838 0.677 0.870
Ti 0.341 0.693 0.637
V 0.955 0.973 0.026
Li 0.665 0.336 0.836
O 0.188 0.370 0.573

Values from the calculation:
Its energy above the most stable polymorph in this dataset is 6.4 meV per atom. The magnetic moment is 0.30 μB/atom. The space-group type is P1, No. 1.

Entry from Materials Project: an optimized crystal structure of MgFe8O8F8 (PBE with a Hubbard U).

Cell: 5.170 5.090 11.847 Å, 91.67 92.20 85.48°
Atoms (fractional coordinates):
Fe 0.948 0.946 0.991
Mg 0.518 0.988 0.139
F 0.662 0.691 0.756
F 0.310 0.313 0.501
O 0.179 0.807 0.627
O 0.151 0.778 0.377
Fe 0.465 0.527 0.626
F 0.813 0.180 0.632
F 0.803 0.186 0.399
O 0.179 0.819 0.874
F 0.831 0.213 0.872
O 0.332 0.327 0.752
O 0.373 0.285 0.245
Fe 0.056 0.074 0.268
Fe 0.093 0.059 0.748
Fe 0.463 0.543 0.878
Fe 0.444 0.519 0.376
O 0.654 0.666 0.504
Fe 0.570 0.471 0.125
F 0.645 0.731 0.260
O 0.846 0.164 0.121
F 0.212 0.788 0.116
F 0.357 0.284 0.994
O 0.665 0.724 0.003
Fe 0.934 0.891 0.502

Values from the calculation:
Its energy above the most stable polymorph in this dataset is 61.4 meV per atom. The magnetic moment is 1.52 μB/atom. The space-group type is P1, No. 1.

Entry from Materials Project: an optimized crystal structure of LiMn6O4F8 (PBE with a Hubbard U).

Cell: 5.333 8.143 5.864 Å, 95.11 81.63 91.64°
Atoms (fractional coordinates):
Mn 0.042 0.945 0.063
F 0.116 0.228 0.042
O 0.364 0.206 0.537
F 0.200 0.627 0.339
O 0.675 0.784 0.476
Mn 0.569 0.666 0.200
Mn 0.205 0.364 0.355
F 0.205 0.900 0.711
Mn 0.455 0.329 0.803
F 0.826 0.427 0.530
Li 0.751 0.254 0.138
F 0.811 0.083 0.331
F 0.644 0.135 0.850
O 0.828 0.741 0.984
Mn 0.934 0.676 0.647
Mn 0.511 0.992 0.521
O 0.535 0.432 0.091
F 0.366 0.916 0.205
F 0.267 0.511 0.729

Values from the calculation:
Its energy above the most stable polymorph in this dataset is 18.7 meV per atom. The magnetic moment is 1.42 μB/atom. The space-group type is P1, No. 1.

no.,uncorrected energy (eV/atom),DFT formation energy (eV/atom)
1,-6.03,-2.2947
2,-6.73,-1.5528
3,-5.16,-1.6887
4,-7.75,-2.7345
5,-5.95,-2.0686
6,-6.49,-2.5117